[1]
Entry from Materials Project: a geometry-optimized Sr2LiV2Si4O14 structure (PBE with a Hubbard U).

Cell and atoms, written as CIF:
```
data_Sr2LiV2Si4O14
_chemical_formula_sum 'Sr2 Li1 V2 Si4 O14'
_cell_length_a 5.495
_cell_length_b 7.217
_cell_length_c 7.777
_cell_angle_alpha 90.00
_cell_angle_beta 109.28
_cell_angle_gamma 90.00
_space_group_name_H-M_alt 'P 1 m 1'
_space_group_IT_number 6
loop_
_space_group_symop_operation_xyz
'x,y,z'
'x,-y,z'
loop_
_atom_site_label
_atom_site_type_symbol
_atom_site_fract_x
_atom_site_fract_y
_atom_site_fract_z
_atom_site_occupancy
Sr1 Sr 0.000 0.000 0.000 1
Sr2 Sr 0.378 0.500 0.772 1
Li1 Li 0.504 0.500 0.377 1
V1 V 0.055 0.500 0.166 1
V2 V 0.304 0.000 0.609 1
Si1 Si 0.578 0.224 0.169 1
Si2 Si 0.806 0.271 0.611 1
O1 O 0.094 0.188 0.698 1
O2 O 0.191 0.000 0.386 1
O3 O 0.199 0.500 0.415 1
O4 O 0.291 0.309 0.093 1
O5 O 0.551 0.000 0.125 1
O6 O 0.593 0.186 0.693 1
O7 O 0.693 0.265 0.389 1
O8 O 0.776 0.302 0.074 1
O9 O 0.818 0.500 0.663 1
```

As for the energy of formation from the pure elements: -6535 kJ/mol of formula units. The energy above the most stable polymorph in this dataset is 89 meV per atom.

***

[2]
Entry from Materials Project: a geometry-optimized Sr2LiV2Si4O14 structure (PBE with a Hubbard U).

Cell and atoms, written as CIF:
```
data_Sr2LiV2Si4O14
_chemical_formula_sum 'Sr4 Li2 V4 Si8 O28'
_cell_length_a 14.758
_cell_length_b 5.470
_cell_length_c 7.193
_cell_angle_alpha 90.00
_cell_angle_beta 91.66
_cell_angle_gamma 90.00
_space_group_name_H-M_alt 'C 1 2 1'
_space_group_IT_number 5
loop_
_space_group_symop_operation_xyz
'x,y,z'
'-x,y,-z'
'x+1/2,y+1/2,z'
'-x+1/2,y+1/2,-z'
loop_
_atom_site_label
_atom_site_type_symbol
_atom_site_fract_x
_atom_site_fract_y
_atom_site_fract_z
_atom_site_occupancy
Sr1 Sr 0.198 0.000 0.258 1
Li1 Li 0.000 0.122 0.000 1
V1 V 0.111 0.993 0.740 1
Si1 Si 0.108 0.497 0.474 1
Si2 Si 0.110 0.506 0.025 1
O1 O 0.000 0.499 0.500 1
O2 O 0.000 0.507 0.000 1
O3 O 0.006 0.997 0.244 1
O4 O 0.137 0.504 0.251 1
O5 O 0.143 0.242 0.949 1
O6 O 0.154 0.248 0.559 1
O7 O 0.156 0.743 0.559 1
O8 O 0.157 0.746 0.938 1
```

As for the energy of formation from the pure elements: -6718 kJ/mol of formula units. The energy above the most stable polymorph in this dataset is 7 meV per atom.

***

[3]
Entry from Materials Project: a geometry-optimized Sr2LiV2Si4O14 structure (PBE with a Hubbard U).

Cell and atoms, written as CIF:
```
data_Sr2LiV2Si4O14
_chemical_formula_sum 'Sr4 Li2 V4 Si8 O28'
_cell_length_a 7.258
_cell_length_b 5.451
_cell_length_c 15.598
_cell_angle_alpha 90.00
_cell_angle_beta 90.00
_cell_angle_gamma 90.00
_space_group_name_H-M_alt 'A m m 2'
_space_group_IT_number 38
loop_
_space_group_symop_operation_xyz
'x,y,z'
'-x,-y,z'
'-x,y,z'
'x,-y,z'
'x,y+1/2,z+1/2'
'-x,-y+1/2,z+1/2'
'-x,y+1/2,z+1/2'
'x,-y+1/2,z+1/2'
loop_
_atom_site_label
_atom_site_type_symbol
_atom_site_fract_x
_atom_site_fract_y
_atom_site_fract_z
_atom_site_occupancy
Sr1 Sr 0.000 0.000 0.000 1
Sr2 Sr 0.500 0.000 0.354 1
Li1 Li 0.500 0.000 0.533 1
V1 V 0.000 0.000 0.317 1
V2 V 0.500 0.000 0.099 1
Si1 Si 0.214 0.000 0.606 1
Si2 Si 0.270 0.000 0.810 1
O1 O 0.000 0.000 0.213 1
O2 O 0.000 0.000 0.571 1
O3 O 0.191 0.247 0.857 1
O4 O 0.226 0.000 0.709 1
O5 O 0.306 0.241 0.561 1
O6 O 0.500 0.000 0.213 1
O7 O 0.500 0.000 0.829 1
```

As for the energy of formation from the pure elements: -6580 kJ/mol of formula units. The energy above the most stable polymorph in this dataset is 69 meV per atom.

***

[4]
Entry from Materials Project: a geometry-optimized Sr2LiV2Si4O14 structure (PBE with a Hubbard U).

Cell and atoms, written as CIF:
```
data_Sr2LiV2Si4O14
_chemical_formula_sum 'Sr2 Li1 V2 Si4 O14'
_cell_length_a 5.450
_cell_length_b 7.168
_cell_length_c 7.865
_cell_angle_alpha 87.00
_cell_angle_beta 71.83
_cell_angle_gamma 87.18
_space_group_name_H-M_alt 'P 1'
_space_group_IT_number 1
loop_
_space_group_symop_operation_xyz
'x,y,z'
loop_
_atom_site_label
_atom_site_type_symbol
_atom_site_fract_x
_atom_site_fract_y
_atom_site_fract_z
_atom_site_occupancy
Sr1 Sr 0.000 0.000 0.000 1
Sr2 Sr 0.369 0.547 0.234 1
Li1 Li 0.934 0.386 0.105 1
V1 V 0.149 0.565 0.778 1
V2 V 0.276 0.039 0.408 1
Si1 Si 0.550 0.261 0.864 1
Si2 Si 0.602 0.806 0.823 1
Si3 Si 0.766 0.322 0.442 1
Si4 Si 0.783 0.771 0.394 1
O1 O 0.055 0.238 0.330 1
O2 O 0.068 0.858 0.303 1
O3 O 0.157 0.009 0.627 1
O4 O 0.217 0.557 0.549 1
O5 O 0.244 0.331 0.915 1
O6 O 0.325 0.713 0.922 1
O7 O 0.543 0.232 0.380 1
O8 O 0.550 0.028 0.877 1
O9 O 0.576 0.863 0.297 1
O10 O 0.678 0.790 0.608 1
O11 O 0.692 0.319 0.002 1
O12 O 0.704 0.332 0.657 1
O13 O 0.804 0.542 0.341 1
O14 O 0.828 0.722 0.903 1
```

As for the energy of formation from the pure elements: -6582 kJ/mol of formula units. The energy above the most stable polymorph in this dataset is 68 meV per atom.

***

[5]
Entry from Materials Project: a geometry-optimized Sr2LiV2Si4O14 structure (PBE with a Hubbard U).

Cell and atoms, written as CIF:
```
data_Sr2LiV2Si4O14
_chemical_formula_sum 'Sr2 Li1 V2 Si4 O14'
_cell_length_a 5.514
_cell_length_b 7.138
_cell_length_c 7.634
_cell_angle_alpha 90.00
_cell_angle_beta 101.03
_cell_angle_gamma 90.00
_space_group_name_H-M_alt 'P 1 m 1'
_space_group_IT_number 6
loop_
_space_group_symop_operation_xyz
'x,y,z'
'x,-y,z'
loop_
_atom_site_label
_atom_site_type_symbol
_atom_site_fract_x
_atom_site_fract_y
_atom_site_fract_z
_atom_site_occupancy
Sr1 Sr 0.000 0.000 0.000 1
Sr2 Sr 0.160 0.500 0.701 1
Li1 Li 0.513 0.000 0.779 1
V1 V 0.018 0.500 0.127 1
V2 V 0.086 0.000 0.537 1
Si1 Si 0.521 0.229 0.119 1
Si2 Si 0.608 0.272 0.546 1
O1 O 0.078 0.500 0.347 1
O2 O 0.081 0.000 0.304 1
O3 O 0.248 0.314 0.031 1
O4 O 0.375 0.196 0.629 1
O5 O 0.503 0.000 0.043 1
O6 O 0.570 0.234 0.334 1
O7 O 0.618 0.500 0.588 1
O8 O 0.757 0.308 0.044 1
O9 O 0.873 0.192 0.649 1
```

As for the energy of formation from the pure elements: -6623 kJ/mol of formula units. The energy above the most stable polymorph in this dataset is 50 meV per atom.

***

[6]
Entry from Materials Project: a geometry-optimized Li4V2Si3O10 structure (PBE with a Hubbard U).

Cell and atoms, written as CIF:
```
data_Li4V2Si3O10
_chemical_formula_sum 'Li16 V8 Si12 O40'
_cell_length_a 9.178
_cell_length_b 5.600
_cell_length_c 17.070
_cell_angle_alpha 90.00
_cell_angle_beta 99.46
_cell_angle_gamma 90.00
_space_group_name_H-M_alt 'C 1 2/c 1'
_space_group_IT_number 15
loop_
_space_group_symop_operation_xyz
'x,y,z'
'-x,-y,-z'
'-x,y,-z+1/2'
'x,-y,z+1/2'
'x+1/2,y+1/2,z'
'-x+1/2,-y+1/2,-z'
'-x+1/2,y+1/2,-z+1/2'
'x+1/2,-y+1/2,z+1/2'
loop_
_atom_site_label
_atom_site_type_symbol
_atom_site_fract_x
_atom_site_fract_y
_atom_site_fract_z
_atom_site_occupancy
Li1 Li 0.186 0.106 0.231 1
Li2 Li 0.248 0.423 0.448 1
V1 V 0.099 0.397 0.083 1
Si1 Si 0.000 0.389 0.750 1
Si2 Si 0.062 0.098 0.900 1
O1 O 0.066 0.338 0.956 1
O2 O 0.098 0.198 0.813 1
O3 O 0.101 0.028 0.115 1
O4 O 0.119 0.457 0.212 1
O5 O 0.196 0.085 0.433 1
```

As for the energy of formation from the pure elements: -5010 kJ/mol of formula units.